VASP calculation (PBE-GGA) on crystalline GdNiC2 at its relaxed geometry.

a = 3.775 Å, b = 3.775 Å, c = 3.660 Å
α = 90.00°, β = 90.00°, γ = 106.20°
Fractional positions:
Gd (0.000, 0.000, 0.000)
Ni (0.613, 0.387, 0.500)
C (0.453, 0.850, 0.500)
C (0.150, 0.547, 0.500)

- DFT formation energy (kJ/mol of formula units) = -118